Arrangement one

The following is a PBE with a Hubbard U calculation of crystalline MgV4O7F5 at its relaxed geometry, from Materials Project. Values from VASP.

Geometry as Quantum ESPRESSO input:
```
&SYSTEM
  ibrav = 0, nat = 17, ntyp = 4
/
ATOMIC_SPECIES
V 50.94 V.upf
F 19.00 F.upf
Mg 24.30 Mg.upf
O 16.00 O.upf
CELL_PARAMETERS angstrom
-5.295 0.022 0.085
0.046 5.896 -4.088
0.082 -3.458 -4.480
ATOMIC_POSITIONS crystal
V 0.469 0.998 0.529
V 0.939 0.996 0.036
V 0.022 0.511 0.005
V 0.508 0.490 0.461
F 0.803 0.959 0.696
F 0.208 0.444 0.678
F 0.162 0.074 0.327
F 0.718 0.540 0.765
F 0.823 0.536 0.295
Mg 0.983 0.217 0.608
O 0.313 0.462 0.216
O 0.286 0.053 0.759
O 0.679 0.958 0.181
O 0.624 0.234 0.491
O 0.439 0.761 0.495
O 0.942 0.256 0.966
O 0.081 0.751 0.003
```

## Properties
Crystal system ... triclinic
Magnetic moment ... 0.18 μB per atom

=====

Arrangement two

The following is a PBE with a Hubbard U calculation of crystalline MgV4O7F5 at its relaxed geometry, from Materials Project. Values from VASP.

Geometry as Quantum ESPRESSO input:
```
&SYSTEM
  ibrav = 0, nat = 17, ntyp = 4
/
ATOMIC_SPECIES
O 16.00 O.upf
V 50.94 V.upf
F 19.00 F.upf
Mg 24.30 Mg.upf
CELL_PARAMETERS angstrom
4.625 0.226 2.551
4.421 2.053 -2.471
-1.096 8.681 0.984
ATOMIC_POSITIONS crystal
O 0.465 0.215 0.640
O 0.445 0.751 0.062
O 0.093 0.237 0.422
O 0.996 0.747 0.881
O 0.561 0.273 0.335
O 0.438 0.727 0.695
O 0.946 0.231 0.128
V 0.768 0.470 0.241
V 0.262 0.541 0.737
V 0.046 0.941 0.011
V 0.463 0.079 0.473
F 0.558 0.229 0.926
F 0.100 0.202 0.836
F 0.950 0.718 0.183
F 0.557 0.753 0.376
F 0.923 0.741 0.578
Mg 0.555 0.896 0.850
```

## Properties
Crystal system ... triclinic
Magnetic moment ... 0.18 μB per atom

=====

Arrangement three

The following is a PBE with a Hubbard U calculation of crystalline MgV4O7F5 at its relaxed geometry, from Materials Project. Values from VASP.

Geometry as Quantum ESPRESSO input:
```
&SYSTEM
  ibrav = 0, nat = 17, ntyp = 4
/
ATOMIC_SPECIES
O 16.00 O.upf
F 19.00 F.upf
V 50.94 V.upf
Mg 24.30 Mg.upf
CELL_PARAMETERS angstrom
-5.012 -0.043 0.000
-2.552 -4.868 0.106
-0.024 -3.112 8.542
ATOMIC_POSITIONS crystal
O 0.407 0.770 0.065
O 0.558 0.250 0.915
O 0.917 0.760 0.188
O 0.585 0.290 0.335
O 0.412 0.739 0.680
O 0.924 0.748 0.562
O 0.114 0.257 0.419
F 0.051 0.275 0.815
F 0.468 0.274 0.622
F 0.001 0.750 0.874
F 0.975 0.259 0.115
F 0.484 0.764 0.374
V 0.760 0.495 0.240
V 0.510 0.993 0.509
V 0.019 0.982 0.007
V 0.267 0.513 0.764
Mg 0.179 0.620 0.399
```

## Properties
Crystal system ... triclinic
Magnetic moment ... 0.18 μB per atom

=====

Energies, relative to the best one, in kJ/mol of atoms: arrangement one 6.0; arrangement two 0.0; arrangement three 4.5.

=====

Arrangement one

The following is a PBE with a Hubbard U calculation of crystalline MnP2O7 at its relaxed geometry, from Materials Project. Values from VASP.

Geometry as Quantum ESPRESSO input:
```
&SYSTEM
  ibrav = 0, nat = 40, ntyp = 3
/
ATOMIC_SPECIES
O 16.00 O.upf
P 30.97 P.upf
Mn 54.94 Mn.upf
CELL_PARAMETERS angstrom
-12.129 -1.243 -2.622
1.104 -3.131 -3.622
0.593 -9.088 1.562
ATOMIC_POSITIONS crystal
O 0.427 0.167 0.628
O 0.111 0.732 0.429
O 0.889 0.268 0.571
O 0.260 0.300 0.172
O 0.060 0.953 0.637
O 0.573 0.833 0.372
O 0.611 0.268 0.071
O 0.389 0.732 0.929
O 0.032 0.327 0.748
O 0.760 0.700 0.328
O 0.560 0.047 0.863
O 0.687 0.485 0.622
O 0.740 0.700 0.828
O 0.940 0.047 0.363
O 0.968 0.673 0.252
O 0.187 0.515 0.878
O 0.532 0.673 0.752
O 0.270 0.918 0.565
O 0.813 0.485 0.122
O 0.073 0.167 0.128
O 0.730 0.082 0.435
O 0.770 0.082 0.935
O 0.927 0.833 0.872
O 0.468 0.327 0.248
O 0.440 0.953 0.137
O 0.313 0.515 0.378
O 0.230 0.918 0.065
O 0.240 0.300 0.672
P 0.520 0.103 0.198
P 0.480 0.897 0.802
P 0.980 0.103 0.698
P 0.305 0.224 0.556
P 0.020 0.897 0.302
P 0.805 0.776 0.944
P 0.695 0.776 0.444
P 0.195 0.224 0.056
Mn 0.351 0.625 0.154
Mn 0.149 0.625 0.654
Mn 0.649 0.375 0.846
Mn 0.851 0.375 0.346
```

## Properties
Crystal system ... monoclinic

=====

Arrangement two

The following is a PBE with a Hubbard U calculation of crystalline MnP2O7 at its relaxed geometry, from Materials Project. Values from VASP.

Geometry as Quantum ESPRESSO input:
```
&SYSTEM
  ibrav = 0, nat = 40, ntyp = 3
/
ATOMIC_SPECIES
P 30.97 P.upf
O 16.00 O.upf
Mn 54.94 Mn.upf
CELL_PARAMETERS angstrom
-0.174 6.836 -0.014
-8.154 -1.278 4.588
7.674 -1.266 4.570
ATOMIC_POSITIONS crystal
P 0.862 0.621 0.858
P 0.138 0.879 0.642
P 0.138 0.379 0.142
P 0.747 0.212 0.901
P 0.862 0.121 0.358
P 0.747 0.712 0.401
P 0.253 0.288 0.599
P 0.253 0.788 0.099
O 0.033 0.666 0.028
O 0.235 0.916 0.040
O 0.935 0.007 0.201
O 0.291 0.356 0.795
O 0.596 0.311 0.988
O 0.672 0.020 0.360
O 0.967 0.834 0.472
O 0.168 0.718 0.636
O 0.033 0.166 0.528
O 0.832 0.782 0.864
O 0.291 0.856 0.295
O 0.404 0.689 0.012
O 0.596 0.811 0.488
O 0.328 0.980 0.640
O 0.765 0.584 0.460
O 0.404 0.189 0.512
O 0.235 0.416 0.540
O 0.709 0.144 0.705
O 0.328 0.480 0.140
O 0.065 0.493 0.299
O 0.065 0.993 0.799
O 0.672 0.520 0.860
O 0.832 0.282 0.364
O 0.709 0.644 0.205
O 0.967 0.334 0.972
O 0.168 0.218 0.136
O 0.765 0.084 0.960
O 0.935 0.507 0.701
Mn 0.000 0.500 0.500
Mn 0.000 0.000 0.000
Mn 0.500 0.500 0.000
Mn 0.500 0.000 0.500
```

=====

Arrangement three

The following is a PBE with a Hubbard U calculation of crystalline MnP2O7 at its relaxed geometry, from Materials Project. Values from VASP.

Geometry as Quantum ESPRESSO input:
```
&SYSTEM
  ibrav = 0, nat = 10, ntyp = 3
/
ATOMIC_SPECIES
P 30.97 P.upf
O 16.00 O.upf
Mn 54.94 Mn.upf
CELL_PARAMETERS angstrom
-3.962 -2.531 -1.884
2.406 1.213 -4.289
2.014 -3.900 -0.738
ATOMIC_POSITIONS crystal
P 0.668 0.738 0.591
P 0.262 0.332 0.409
O 0.549 0.451 0.500
O 0.860 0.664 0.813
O 0.812 0.929 0.285
O 0.142 0.565 0.267
O 0.336 0.140 0.187
O 0.071 0.188 0.715
O 0.435 0.858 0.733
Mn 0.112 0.888 0.000
```

## Properties
Crystal system ... monoclinic
Largest piezoelectric modulus ... 1.28 C/m²
Magnetic moment ... 0.30 μB per atom

=====

Energies, relative to the best one, in kJ/mol of atoms: arrangement one 0.6; arrangement two 0.0; arrangement three 5.1.